Entry 1:
Entry from Materials Project: an optimized crystal structure of ZnS (PBE).

Calculated values
Raw total energy in eV/atom: -3.5079
Space group: P6_3mc (186)
ΔE_f in kJ/mol of formula units: -204.8
Piezoelectric modulus e_max in C/m2: 0.12

Cell: 3.853 3.853 12.608 Å, 90.00 90.00 120.00°
Positions (direct):
Zn 0.000 0.000 0.000
Zn 0.000 0.000 0.500
Zn 0.333 0.667 0.250
Zn 0.667 0.333 0.750
S 0.000 0.000 0.187
S 0.000 0.000 0.687
S 0.333 0.667 0.438
S 0.667 0.333 0.938



Entry 2:
Entry from Materials Project: an optimized crystal structure of ZnS (PBE).

Calculated values
Raw total energy in eV/atom: -3.5090
Space group: P3m1 (156)
ΔE_f in kJ/mol of formula units: -205.0

Cell: 3.852 3.852 88.183 Å, 90.00 90.00 120.00°
Positions (direct):
Zn 0.000 0.000 0.000
Zn 0.000 0.000 0.071
Zn 0.000 0.000 0.179
Zn 0.000 0.000 0.250
Zn 0.000 0.000 0.357
Zn 0.000 0.000 0.464
Zn 0.000 0.000 0.607
Zn 0.000 0.000 0.714
Zn 0.000 0.000 0.821
Zn 0.000 0.000 0.893
Zn 0.333 0.667 0.107
Zn 0.333 0.667 0.214
Zn 0.333 0.667 0.321
Zn 0.333 0.667 0.429
Zn 0.333 0.667 0.536
Zn 0.333 0.667 0.643
Zn 0.333 0.667 0.750
Zn 0.333 0.667 0.857
Zn 0.333 0.667 0.964
Zn 0.667 0.333 0.036
Zn 0.667 0.333 0.143
Zn 0.667 0.333 0.286
Zn 0.667 0.333 0.393
Zn 0.667 0.333 0.500
Zn 0.667 0.333 0.571
Zn 0.667 0.333 0.679
Zn 0.667 0.333 0.786
Zn 0.667 0.333 0.929
S 0.000 0.000 0.027
S 0.000 0.000 0.098
S 0.000 0.000 0.205
S 0.000 0.000 0.277
S 0.000 0.000 0.384
S 0.000 0.000 0.491
S 0.000 0.000 0.634
S 0.000 0.000 0.741
S 0.000 0.000 0.848
S 0.000 0.000 0.920
S 0.333 0.667 0.134
S 0.333 0.667 0.241
S 0.333 0.667 0.348
S 0.333 0.667 0.455
S 0.333 0.667 0.563
S 0.333 0.667 0.670
S 0.333 0.667 0.777
S 0.333 0.667 0.884
S 0.333 0.667 0.991
S 0.667 0.333 0.063
S 0.667 0.333 0.170
S 0.667 0.333 0.312
S 0.667 0.333 0.420
S 0.667 0.333 0.527
S 0.667 0.333 0.598
S 0.667 0.333 0.705
S 0.667 0.333 0.812
S 0.667 0.333 0.955



Entry 3:
Entry from Materials Project: an optimized crystal structure of ZnS (PBE).

Calculated values
Raw total energy in eV/atom: -3.5089
Space group: P3m1 (156)
ΔE_f in kJ/mol of formula units: -205.0
Piezoelectric modulus e_max in C/m2: 0.08

Cell: 3.853 3.853 25.208 Å, 90.00 90.00 120.00°
Positions (direct):
Zn 0.000 0.000 0.000
Zn 0.000 0.000 0.250
Zn 0.000 0.000 0.625
Zn 0.333 0.667 0.125
Zn 0.333 0.667 0.375
Zn 0.333 0.667 0.750
Zn 0.667 0.333 0.500
Zn 0.667 0.333 0.875
S 0.000 0.000 0.094
S 0.000 0.000 0.344
S 0.000 0.000 0.719
S 0.333 0.667 0.219
S 0.333 0.667 0.469
S 0.333 0.667 0.844
S 0.667 0.333 0.594
S 0.667 0.333 0.969



Entry 4:
Entry from Materials Project: an optimized crystal structure of ZnS (PBE).

Calculated values
Raw total energy in eV/atom: -3.5087
Space group: P3m1 (156)
ΔE_f in kJ/mol of formula units: -205.0

Cell: 3.854 3.854 56.689 Å, 90.00 90.00 120.00°
Positions (direct):
Zn 0.000 0.000 0.000
Zn 0.000 0.000 0.111
Zn 0.000 0.000 0.278
Zn 0.000 0.000 0.389
Zn 0.000 0.000 0.611
Zn 0.000 0.000 0.833
Zn 0.333 0.667 0.056
Zn 0.333 0.667 0.222
Zn 0.333 0.667 0.444
Zn 0.333 0.667 0.556
Zn 0.333 0.667 0.722
Zn 0.333 0.667 0.889
Zn 0.667 0.333 0.167
Zn 0.667 0.333 0.333
Zn 0.667 0.333 0.500
Zn 0.667 0.333 0.667
Zn 0.667 0.333 0.778
Zn 0.667 0.333 0.944
S 0.000 0.000 0.042
S 0.000 0.000 0.153
S 0.000 0.000 0.319
S 0.000 0.000 0.431
S 0.000 0.000 0.653
S 0.000 0.000 0.875
S 0.333 0.667 0.097
S 0.333 0.667 0.264
S 0.333 0.667 0.486
S 0.333 0.667 0.597
S 0.333 0.667 0.764
S 0.333 0.667 0.931
S 0.667 0.333 0.208
S 0.667 0.333 0.375
S 0.667 0.333 0.542
S 0.667 0.333 0.708
S 0.667 0.333 0.819
S 0.667 0.333 0.986



Entry 5:
Entry from Materials Project: an optimized crystal structure of ZnS (PBE).

Calculated values
Raw total energy in eV/atom: -3.5087
Space group: P3m1 (156)
ΔE_f in kJ/mol of formula units: -205.0

Cell: 3.854 3.854 56.690 Å, 90.00 90.00 120.00°
Positions (direct):
Zn 0.000 0.000 0.000
Zn 0.000 0.000 0.111
Zn 0.000 0.000 0.333
Zn 0.000 0.000 0.500
Zn 0.000 0.000 0.667
Zn 0.000 0.000 0.833
Zn 0.333 0.667 0.056
Zn 0.333 0.667 0.222
Zn 0.333 0.667 0.389
Zn 0.333 0.667 0.556
Zn 0.333 0.667 0.778
Zn 0.333 0.667 0.889
Zn 0.667 0.333 0.167
Zn 0.667 0.333 0.278
Zn 0.667 0.333 0.444
Zn 0.667 0.333 0.611
Zn 0.667 0.333 0.722
Zn 0.667 0.333 0.944
S 0.000 0.000 0.042
S 0.000 0.000 0.153
S 0.000 0.000 0.375
S 0.000 0.000 0.542
S 0.000 0.000 0.708
S 0.000 0.000 0.875
S 0.333 0.667 0.097
S 0.333 0.667 0.264
S 0.333 0.667 0.431
S 0.333 0.667 0.597
S 0.333 0.667 0.819
S 0.333 0.667 0.931
S 0.667 0.333 0.208
S 0.667 0.333 0.319
S 0.667 0.333 0.486
S 0.667 0.333 0.653
S 0.667 0.333 0.764
S 0.667 0.333 0.986



Entry 6:
Entry from Materials Project: an optimized crystal structure of ZnS (PBE).

Calculated values
Raw total energy in eV/atom: -3.5087
Space group: P3m1 (156)
ΔE_f in kJ/mol of formula units: -204.9

Cell: 3.852 3.852 44.103 Å, 90.00 90.00 120.00°
Positions (direct):
Zn 0.000 0.000 0.000
Zn 0.000 0.000 0.143
Zn 0.000 0.000 0.286
Zn 0.000 0.000 0.571
Zn 0.000 0.000 0.714
Zn 0.333 0.667 0.357
Zn 0.333 0.667 0.500
Zn 0.333 0.667 0.786
Zn 0.333 0.667 0.929
Zn 0.667 0.333 0.071
Zn 0.667 0.333 0.214
Zn 0.667 0.333 0.429
Zn 0.667 0.333 0.643
Zn 0.667 0.333 0.857
S 0.000 0.000 0.054
S 0.000 0.000 0.196
S 0.000 0.000 0.339
S 0.000 0.000 0.625
S 0.000 0.000 0.768
S 0.333 0.667 0.411
S 0.333 0.667 0.554
S 0.333 0.667 0.839
S 0.333 0.667 0.982
S 0.667 0.333 0.125
S 0.667 0.333 0.268
S 0.667 0.333 0.482
S 0.667 0.333 0.696
S 0.667 0.333 0.911



Entry 7:
Entry from Materials Project: an optimized crystal structure of ZnS (PBE).

Calculated values
Raw total energy in eV/atom: -3.5087
Space group: P3m1 (156)
ΔE_f in kJ/mol of formula units: -205.0

Cell: 3.852 3.852 50.399 Å, 90.00 90.00 120.00°
Positions (direct):
Zn 0.000 0.000 0.000
Zn 0.000 0.000 0.125
Zn 0.000 0.000 0.312
Zn 0.000 0.000 0.438
Zn 0.000 0.000 0.687
Zn 0.000 0.000 0.813
Zn 0.333 0.667 0.188
Zn 0.333 0.667 0.375
Zn 0.333 0.667 0.562
Zn 0.333 0.667 0.750
Zn 0.333 0.667 0.938
Zn 0.667 0.333 0.062
Zn 0.667 0.333 0.250
Zn 0.667 0.333 0.500
Zn 0.667 0.333 0.625
Zn 0.667 0.333 0.875
S 0.000 0.000 0.047
S 0.000 0.000 0.172
S 0.000 0.000 0.359
S 0.000 0.000 0.484
S 0.000 0.000 0.734
S 0.000 0.000 0.859
S 0.333 0.667 0.234
S 0.333 0.667 0.422
S 0.333 0.667 0.609
S 0.333 0.667 0.797
S 0.333 0.667 0.984
S 0.667 0.333 0.109
S 0.667 0.333 0.297
S 0.667 0.333 0.547
S 0.667 0.333 0.672
S 0.667 0.333 0.922



Entry 8:
Entry from Materials Project: an optimized crystal structure of ZnS (PBE).

Calculated values
Raw total energy in eV/atom: -3.0441
Space group: P1 (1)
ΔE_f in kJ/mol of formula units: -115.3

Cell: 12.401 13.566 13.629 Å, 88.35 84.40 87.11°
Positions (direct):
Zn 0.000 0.000 0.000
Zn 0.007 0.116 0.432
Zn 0.033 0.855 0.249
Zn 0.053 0.617 0.483
Zn 0.084 0.639 0.079
Zn 0.094 0.826 0.408
Zn 0.099 0.443 0.194
Zn 0.138 0.370 0.543
Zn 0.162 0.398 0.892
Zn 0.181 0.645 0.833
Zn 0.213 0.224 0.727
Zn 0.215 0.942 0.781
Zn 0.249 0.094 0.524
Zn 0.303 0.868 0.034
Zn 0.310 0.047 0.259
Zn 0.313 0.588 0.447
Zn 0.334 0.094 0.987
Zn 0.341 0.825 0.359
Zn 0.350 0.552 0.989
Zn 0.375 0.418 0.336
Zn 0.409 0.406 0.717
Zn 0.440 0.438 0.499
Zn 0.459 0.616 0.560
Zn 0.460 0.680 0.846
Zn 0.503 0.924 0.809
Zn 0.506 0.270 0.395
Zn 0.519 0.193 0.791
Zn 0.561 0.015 0.384
Zn 0.563 0.234 0.010
Zn 0.596 0.054 0.051
Zn 0.607 0.470 0.588
Zn 0.631 0.393 0.890
Zn 0.642 0.488 0.216
Zn 0.656 0.673 0.981
Zn 0.672 0.768 0.276
Zn 0.728 0.653 0.420
Zn 0.731 0.668 0.748
Zn 0.755 0.299 0.010
Zn 0.770 0.046 0.790
Zn 0.787 0.185 0.568
Zn 0.803 0.967 0.174
Zn 0.818 0.423 0.373
Zn 0.829 0.132 0.378
Zn 0.861 0.846 0.845
Zn 0.865 0.474 0.624
Zn 0.876 0.663 0.276
Zn 0.908 0.741 0.463
Zn 0.915 0.578 0.861
Zn 0.945 0.281 0.952
Zn 0.986 0.963 0.618
S 0.044 0.864 0.759
S 0.048 0.505 0.611
S 0.059 0.542 0.945
S 0.067 0.296 0.810
S 0.069 0.714 0.719
S 0.099 0.331 0.068
S 0.115 0.981 0.484
S 0.117 0.193 0.133
S 0.131 0.220 0.475
S 0.174 0.568 0.350
S 0.180 0.413 0.348
S 0.184 0.989 0.949
S 0.230 0.554 0.128
S 0.239 0.747 0.485
S 0.279 0.890 0.216
S 0.284 0.172 0.142
S 0.288 0.076 0.687
S 0.292 0.726 0.942
S 0.301 0.495 0.833
S 0.309 0.331 0.611
S 0.376 0.863 0.702
S 0.383 0.707 0.699
S 0.392 0.107 0.387
S 0.402 0.239 0.919
S 0.442 0.629 0.177
S 0.457 0.958 0.981
S 0.461 0.469 0.184
S 0.476 0.875 0.456
S 0.537 0.732 0.418
S 0.539 0.546 0.937
S 0.556 0.271 0.208
S 0.586 0.348 0.731
S 0.601 0.053 0.735
S 0.604 0.778 0.850
S 0.609 0.660 0.155
S 0.636 0.936 0.229
S 0.648 0.507 0.381
S 0.651 0.149 0.448
S 0.711 0.324 0.187
S 0.729 0.603 0.586
S 0.764 0.839 0.695
S 0.790 0.498 0.790
S 0.823 0.346 0.523
S 0.829 0.990 0.942
S 0.836 0.709 0.947
S 0.846 0.877 0.558
S 0.896 0.113 0.678
S 0.916 0.495 0.244
S 0.959 0.751 0.145
S 0.968 0.010 0.172